# 1
# SiNi6Ge

An optimized crystal structure of SiNi6Ge (r²SCAN, Materials Project).

Summary:
- formation energy from the elements (eV per atom) = -0.340
- calculated density (g cm⁻³) = 8.78

Unit cell a=3.500 b=3.500 c=6.989 alpha=90.00 beta=90.00 gamma=90.00
Space group P4/mmm (No. 123)
One atom of each set of equivalent atoms:
Si 0.000 0.000 0.000
Ni 0.000 0.500 0.243
Ni 0.500 0.500 0.000
Ni 0.500 0.500 0.500
Ge 0.000 0.000 0.500

# 2
# AcDy3

An optimized crystal structure of AcDy3 (r²SCAN, Materials Project).

Summary:
- formation energy from the elements (eV per atom) = 0.076
- calculated density (g cm⁻³) = 8.53

Unit cell a=5.181 b=5.181 c=5.181 alpha=90.00 beta=90.00 gamma=90.00
Space group Pm-3m (No. 221)
One atom of each set of equivalent atoms:
Ac 0.000 0.000 0.000
Dy 0.000 0.500 0.500

# 3
# DyOs2

An optimized crystal structure of DyOs2 (r²SCAN, Materials Project).

Summary:
- formation energy from the elements (eV per atom) = -0.391
- calculated density (g cm⁻³) = 16.82

Unit cell a=5.2681 b=5.2681 c=8.9209 alpha=90.00 beta=90.00 gamma=120.00
Space group P6_3/mmc (No. 194)
One atom of each set of equivalent atoms:
Dy 0.3333 0.6667 0.0656
Os 0.0000 0.0000 0.0000
Os 0.1712 0.3423 0.7500

# 4
# Tb2Si5Ru3

An optimized crystal structure of Tb2Si5Ru3 (r²SCAN, Materials Project).

Summary:
- formation energy from the elements (eV per atom) = -0.895
- calculated density (g cm⁻³) = 7.77

Unit cell a=9.609 b=12.103 c=5.596 alpha=90.00 beta=90.00 gamma=90.00
Space group Ibam (No. 72)
One atom of each set of equivalent atoms:
Tb 0.232 0.135 0.000
Si 0.000 0.000 0.250
Si 0.000 0.292 0.250
Si 0.167 0.404 0.000
Ru 0.000 0.500 0.250
Ru 0.094 0.146 0.500

# 5
# Rb2Pb4O7

An optimized crystal structure of Rb2Pb4O7 (r²SCAN, Materials Project).

Summary:
- formation energy from the elements (eV per atom) = -1.276
- calculated density (g cm⁻³) = 7.39

Unit cell a=6.694 b=7.385 c=10.472 alpha=101.82 beta=99.19 gamma=90.02
Space group P-1 (No. 2)
One atom of each set of equivalent atoms:
Rb 0.076 0.329 0.314
Rb 0.419 0.670 0.686
Pb 0.092 0.850 0.375
Pb 0.243 0.108 0.968
Pb 0.266 0.661 0.063
Pb 0.404 0.150 0.624
O 0.046 0.847 0.167
O 0.150 0.937 0.596
O 0.155 0.338 0.620
O 0.229 0.810 0.905
O 0.340 0.659 0.364
O 0.352 0.063 0.404
O 0.462 0.156 0.833

# 6
# LiF

An optimized crystal structure of LiF (r²SCAN, Materials Project).

Summary:
- formation energy from the elements (eV per atom) = -3.165
- calculated density (g cm⁻³) = 2.21
- polymorph energy (0 for the lowest one) (meV/atom) = 24.4

Unit cell a=3.0609 b=3.0609 c=4.8073 alpha=90.00 beta=90.00 gamma=120.00
Space group P6_3mc (No. 186)
One atom of each set of equivalent atoms:
Li 0.3333 0.6667 0.0000
F 0.3333 0.6667 0.6127

Number 1: spin magnetization 0.00 μB/f.u.. Number 2: spin magnetization 0.56 μB/f.u.. Number 3: spin magnetization 0.00 μB/f.u.. Number 4: spin magnetization 0.00 μB/f.u.. Number 5: spin magnetization 0.00 μB/f.u.. Number 6: spin magnetization 0.00 μB/f.u..